No. 1
An optimized crystal structure of Mn17Fe13O40, computed with PBE+U.

Summary:
- energy of formation from the pure elements (eV/atom) = -1.8615
- total moment (μB/f.u.) = 143.000

Cell: 6.199 6.210 21.901 Å, 97.83 98.13 89.60°
Atoms (fractional coordinates):
O  0.264  0.263  0.492
O  0.151  0.680  0.304
O  0.582  0.553  0.596
O  0.645  0.120  0.296
O  0.355  0.880  0.704
O  0.984  0.956  0.396
O  0.547  0.086  0.104
O  0.754  0.286  0.504
O  0.160  0.122  0.793
O  0.227  0.253  0.007
O  0.638  0.672  0.808
O  0.969  0.475  0.408
O  0.158  0.127  0.307
O  0.773  0.747  0.993
O  0.220  0.742  0.996
O  0.814  0.352  0.196
O  0.976  0.938  0.907
O  0.362  0.328  0.192
O  0.567  0.080  0.607
O  0.418  0.447  0.404
O  0.016  0.044  0.604
O  0.653  0.673  0.293
O  0.736  0.737  0.508
O  0.840  0.878  0.207
O  0.246  0.714  0.496
O  0.453  0.914  0.896
O  0.780  0.258  0.004
O  0.849  0.320  0.696
O  0.428  0.463  0.892
O  0.572  0.537  0.108
O  0.024  0.062  0.093
O  0.347  0.327  0.707
O  0.186  0.648  0.804
O  0.052  0.512  0.096
O  0.611  0.154  0.796
O  0.433  0.920  0.393
O  0.948  0.488  0.904
O  0.842  0.873  0.693
O  0.389  0.846  0.204
O  0.031  0.525  0.592
Mn  0.271  0.023  0.549
Mn  0.080  0.821  0.150
Mn  0.122  0.371  0.250
Mn  0.206  0.198  0.400
Mn  0.394  0.399  0.800
Mn  0.606  0.601  0.200
Mn  0.794  0.802  0.600
Mn  0.920  0.179  0.850
Mn  0.298  0.296  0.101
Mn  0.729  0.977  0.451
Mn  0.878  0.629  0.750
Mn  0.326  0.572  0.649
Mn  0.530  0.778  0.051
Mn  0.470  0.222  0.949
Mn  0.702  0.704  0.899
Mn  0.674  0.428  0.351
Mn  0.000  0.500  0.500
Fe  0.200  0.700  0.400
Fe  0.902  0.903  0.300
Fe  0.500  0.500  0.500
Fe  0.399  0.900  0.799
Fe  0.601  0.100  0.201
Fe  0.000  0.500  0.000
Fe  0.403  0.895  0.301
Fe  0.800  0.300  0.600
Fe  0.201  0.702  0.901
Fe  0.799  0.298  0.099
Fe  0.000  0.000  0.000
Fe  0.597  0.105  0.699
Fe  0.098  0.097  0.700

***

No. 2
An optimized crystal structure of Mn3FeO8, computed with PBE+U.

Summary:
- energy of formation from the pure elements (eV/atom) = -1.6427
- total moment (μB/f.u.) = 13.001

Cell: 5.798 5.798 9.041 Å, 90.03 89.98 120.00°
Atoms (fractional coordinates):
O  0.674  0.837  0.601
O  0.163  0.837  0.601
O  0.333  0.667  0.103
O  0.000  0.000  0.817
O  0.520  0.041  0.835
O  0.041  0.520  0.335
O  0.837  0.674  0.101
O  0.480  0.520  0.335
O  0.520  0.480  0.835
O  0.163  0.326  0.601
O  0.000  0.000  0.317
O  0.959  0.480  0.835
O  0.837  0.163  0.101
O  0.480  0.959  0.335
O  0.667  0.333  0.603
O  0.326  0.163  0.101
Mn  0.832  0.665  0.712
Mn  0.168  0.832  0.212
Mn  0.335  0.168  0.712
Mn  0.832  0.168  0.712
Mn  0.665  0.832  0.212
Mn  0.168  0.336  0.212
Fe  0.667  0.333  0.995
Fe  0.333  0.667  0.495

***

No. 3
An optimized crystal structure of Mn23FeO32, computed with PBE+U.

Summary:
- energy of formation from the pure elements (eV/atom) = -2.0235
- total moment (μB/f.u.) = 105.005

Cell: 6.332 10.486 10.498 Å, 105.90 94.44 94.27°
Atoms (fractional coordinates):
O  0.008  0.143  0.878
O  0.992  0.857  0.122
O  0.993  0.871  0.608
O  0.733  0.131  0.116
O  0.772  0.635  0.121
O  0.729  0.365  0.379
O  0.493  0.357  0.121
O  0.995  0.371  0.107
O  0.507  0.143  0.378
O  0.228  0.365  0.879
O  0.271  0.635  0.621
O  0.494  0.371  0.607
O  0.507  0.643  0.879
O  0.993  0.357  0.621
O  0.007  0.129  0.392
O  0.772  0.871  0.386
O  0.228  0.129  0.614
O  0.005  0.629  0.893
O  0.772  0.371  0.885
O  0.007  0.643  0.379
O  0.267  0.869  0.884
O  0.508  0.131  0.892
O  0.506  0.629  0.393
O  0.272  0.370  0.385
O  0.228  0.629  0.115
O  0.728  0.630  0.615
O  0.492  0.869  0.108
O  0.228  0.865  0.379
O  0.283  0.127  0.115
O  0.717  0.873  0.885
O  0.493  0.857  0.622
O  0.772  0.135  0.621
Mn  0.250  0.750  0.500
Mn  0.000  0.250  0.750
Mn  0.000  0.750  0.250
Mn  0.500  0.438  0.813
Mn  0.249  0.750  0.000
Mn  0.000  0.000  0.500
Mn  0.751  0.250  0.000
Mn  0.747  0.751  0.002
Mn  0.504  0.249  0.249
Mn  0.496  0.751  0.751
Mn  0.250  0.250  0.500
Mn  0.253  0.249  0.998
Mn  0.750  0.250  0.500
Mn  0.500  0.063  0.687
Mn  0.000  0.563  0.688
Mn  0.750  0.750  0.500
Mn  0.500  0.937  0.313
Mn  0.003  0.063  0.187
Mn  0.500  0.500  0.500
Mn  0.000  0.437  0.312
Mn  0.500  0.562  0.187
Mn  0.000  0.500  0.000
Mn  0.997  0.937  0.813
Fe  0.500  0.000  0.000

***

No. 4
An optimized crystal structure of Mn2FeO6, computed with PBE+U.

Summary:
- energy of formation from the pure elements (eV/atom) = -1.5701
- total moment (μB/f.u.) = 10.000

Cell: 5.122 5.122 9.822 Å, 90.00 90.00 120.19°
Atoms (fractional coordinates):
O  0.337  0.337  0.903
O  0.163  0.163  0.403
O  0.663  0.663  0.097
O  0.660  0.000  0.902
O  0.000  0.340  0.098
O  0.160  0.500  0.598
O  0.840  0.500  0.402
O  0.500  0.840  0.402
O  0.500  0.160  0.598
O  0.340  0.000  0.098
O  0.000  0.660  0.902
O  0.837  0.837  0.597
Fe  0.000  0.000  0.000
Fe  0.500  0.500  0.500
Mn  0.832  0.168  0.500
Mn  0.668  0.332  0.000
Mn  0.332  0.668  0.000
Mn  0.168  0.832  0.500

***

No. 5
An optimized crystal structure of Mn2FeO6, computed with PBE+U.

Summary:
- energy of formation from the pure elements (eV/atom) = -1.5719
- total moment (μB/f.u.) = 10.001

Cell: 6.521 6.521 5.775 Å, 79.08 79.08 26.15°
Atoms (fractional coordinates):
O  0.988  0.988  0.231
O  0.323  0.323  0.559
O  0.660  0.660  0.886
O  0.340  0.340  0.114
O  0.677  0.677  0.441
O  0.012  0.012  0.769
Mn  0.832  0.832  0.335
Mn  0.168  0.168  0.665
Fe  0.500  0.500  0.000

***

No. 6
An optimized crystal structure of Mn9FeO10, computed with PBE+U.

Summary:
- energy of formation from the pure elements (eV/atom) = -1.8948
- total moment (μB/f.u.) = 48.998

Cell: 7.160 7.160 10.597 Å, 78.20 78.20 25.63°
Atoms (fractional coordinates):
Mn  0.100  0.100  0.700
Mn  0.301  0.301  0.098
Mn  0.399  0.399  0.802
Mn  0.200  0.200  0.399
Mn  0.900  0.900  0.300
Mn  0.601  0.601  0.198
Mn  0.500  0.500  0.500
Mn  0.699  0.699  0.902
Mn  0.800  0.800  0.601
O  0.650  0.650  0.550
O  0.548  0.548  0.854
O  0.751  0.751  0.250
O  0.249  0.249  0.750
O  0.950  0.950  0.651
O  0.150  0.150  0.050
O  0.452  0.452  0.146
O  0.050  0.050  0.349
O  0.850  0.850  0.950
O  0.350  0.350  0.450
Fe  0.000  0.000  0.000

***

no.,MP2020-corrected energy (eV/atom),electronic total energy (eV/atom)
1,-8.487,-7.270
2,-7.938,-6.875
3,-8.765,-7.647
4,-7.846,-6.767
5,-7.848,-6.768
6,-8.915,-7.708